Computed, not measured: Zn3Ni after structural relaxation at the PBE-GGA level of DFT.

Calculated values
E_tot in eV/atom: -2.554
Calculated formation energy in eV/atom: -0.164

```
data_Zn3Ni
_chemical_formula_sum 'Zn6 Ni2'
_space_group_name_H-M_alt 'P 1'
_space_group_IT_number 1
_space_group_name_Hall 'P 1'
_cell_length_a 5.323
_cell_length_b 5.323
_cell_length_c 4.286
_cell_angle_alpha 90.00
_cell_angle_beta 90.00
_cell_angle_gamma 120.00
loop_
_atom_site_label
_atom_site_type_symbol
_atom_site_fract_x
_atom_site_fract_y
_atom_site_fract_z
Zn1 Zn 0.830 0.170 0.750
Ni1 Ni 0.333 0.667 0.750
Zn2 Zn 0.170 0.341 0.250
Ni2 Ni 0.667 0.333 0.250
Zn3 Zn 0.830 0.659 0.750
Zn4 Zn 0.170 0.830 0.250
Zn5 Zn 0.659 0.830 0.250
Zn6 Zn 0.341 0.170 0.750
```

***

Computed, not measured: Co3Re4B4 after structural relaxation at the PBE-GGA level of DFT.

Calculated values
E_tot in eV/atom: -9.134
Calculated formation energy in eV/atom: -0.241

```
data_Co3Re4B4
_chemical_formula_sum 'Co6 Re8 B8'
_space_group_name_H-M_alt 'P 1'
_space_group_IT_number 1
_space_group_name_Hall 'P 1'
_cell_length_a 5.314
_cell_length_b 5.314
_cell_length_c 7.954
_cell_angle_alpha 90.00
_cell_angle_beta 90.00
_cell_angle_gamma 90.00
loop_
_atom_site_label
_atom_site_type_symbol
_atom_site_fract_x
_atom_site_fract_y
_atom_site_fract_z
B1 B 0.500 0.500 0.625
Re1 Re 0.826 0.674 0.223
B2 B 0.500 0.500 0.375
Re2 Re 0.174 0.326 0.777
B3 B 0.878 0.378 0.000
Co1 Co 0.000 0.000 0.000
B4 B 0.378 0.122 0.000
B5 B 0.622 0.878 0.000
Re3 Re 0.326 0.826 0.777
Co2 Co 0.838 0.338 0.500
B6 B 0.000 0.000 0.375
B7 B 0.122 0.622 0.000
Re4 Re 0.674 0.174 0.223
Re5 Re 0.826 0.674 0.777
Co3 Co 0.662 0.838 0.500
Co4 Co 0.338 0.162 0.500
Re6 Re 0.326 0.826 0.223
Re7 Re 0.674 0.174 0.777
Co5 Co 0.162 0.662 0.500
Re8 Re 0.174 0.326 0.223
Co6 Co 0.500 0.500 0.000
B8 B 0.000 0.000 0.625
```

***

Computed, not measured: NaTaO3 after structural relaxation at the PBE-GGA level of DFT.

Calculated values
E_tot in eV/atom: -8.247
Calculated formation energy in eV/atom: -3.054

```
data_NaTaO3
_chemical_formula_sum 'Na1 Ta1 O3'
_space_group_name_H-M_alt 'P 1'
_space_group_IT_number 1
_space_group_name_Hall 'P 1'
_cell_length_a 3.983
_cell_length_b 3.983
_cell_length_c 3.983
_cell_angle_alpha 90.00
_cell_angle_beta 90.00
_cell_angle_gamma 90.00
loop_
_atom_site_label
_atom_site_type_symbol
_atom_site_fract_x
_atom_site_fract_y
_atom_site_fract_z
Na1 Na 0.500 0.500 0.500
Ta1 Ta 0.000 0.000 0.000
O1 O 0.500 0.000 0.000
O2 O 0.000 0.500 0.000
O3 O 0.000 0.000 0.500
```